1.
# Li6MnV3P6O24

A relaxed structure of Li6MnV3P6O24 (GGA+U, Materials Project).

Cell lengths 10.254, 10.254, 10.212 Å; angles 70.36, 70.36, 109.28 degrees
Element x y z (fractional)
O (0.618, 0.611, 0.591)
O (0.992, 0.608, 0.303)
O (0.384, 0.995, 0.706)
O (0.908, 0.798, 0.711)
O (0.382, 0.389, 0.409)
O (0.995, 0.384, 0.206)
O (0.798, 0.908, 0.211)
O (0.294, 0.886, 0.505)
O (0.881, 0.593, 0.612)
O (0.089, 0.887, 0.118)
O (0.296, 0.789, 0.092)
O (0.700, 0.493, 0.892)
O (0.591, 0.708, 0.800)
O (0.704, 0.211, 0.908)
O (0.114, 0.706, 0.995)
O (0.495, 0.792, 0.617)
O (0.505, 0.208, 0.383)
O (0.392, 0.008, 0.197)
O (0.887, 0.089, 0.618)
O (0.300, 0.507, 0.108)
O (0.292, 0.409, 0.700)
O (0.792, 0.495, 0.117)
O (0.611, 0.618, 0.091)
O (0.799, 0.889, 0.495)
O (0.911, 0.113, 0.882)
O (0.789, 0.296, 0.592)
O (0.708, 0.591, 0.300)
O (0.493, 0.700, 0.392)
O (0.119, 0.407, 0.388)
O (0.208, 0.505, 0.883)
O (0.409, 0.292, 0.200)
O (0.407, 0.119, 0.888)
O (0.389, 0.382, 0.909)
O (0.886, 0.294, 0.005)
O (0.507, 0.300, 0.608)
O (0.201, 0.111, 0.505)
O (0.092, 0.202, 0.289)
O (0.593, 0.881, 0.112)
O (0.706, 0.114, 0.495)
O (0.608, 0.992, 0.803)
O (0.202, 0.092, 0.789)
O (0.005, 0.616, 0.794)
O (0.616, 0.005, 0.294)
O (0.113, 0.911, 0.382)
O (0.008, 0.392, 0.697)
O (0.111, 0.201, 0.005)
O (0.889, 0.799, 0.995)
O (0.211, 0.704, 0.408)
V (0.000, 0.500, 0.000)
V (0.000, 0.000, 0.000)
V (0.500, 0.000, 0.500)
V (0.500, 0.500, 0.500)
V (0.000, 0.000, 0.500)
V (0.500, 0.500, 0.000)
P (0.874, 0.625, 0.752)
P (0.251, 0.875, 0.374)
P (0.750, 0.625, 0.125)
P (0.250, 0.375, 0.875)
P (0.625, 0.750, 0.625)
P (0.375, 0.250, 0.375)
P (0.126, 0.375, 0.248)
P (0.375, 0.126, 0.748)
P (0.875, 0.251, 0.874)
P (0.749, 0.125, 0.626)
P (0.125, 0.749, 0.126)
P (0.625, 0.874, 0.252)
Li (0.127, 0.251, 0.624)
Li (0.625, 0.250, 0.125)
Li (0.873, 0.749, 0.376)
Li (0.749, 0.873, 0.876)
Li (0.251, 0.127, 0.124)
Li (0.375, 0.625, 0.250)
Li (0.375, 0.750, 0.875)
Li (0.250, 0.625, 0.625)
Li (0.876, 0.124, 0.250)
Li (0.124, 0.876, 0.750)
Li (0.750, 0.375, 0.375)
Li (0.625, 0.375, 0.750)
Mn (0.000, 0.500, 0.500)
Mn (0.500, 0.000, 0.000)

Values from the calculation:
* raw total energy: -7.034 eV per atom
* energy above the most stable polymorph in this dataset: 0.048 eV/atom
* calculated formation energy: -2.64 eV per atom


2.
# LiMnVP4O14

A relaxed structure of LiMnVP4O14 (GGA+U, Materials Project).

Cell lengths 7.032, 8.159, 18.393 Å; angles 90.26, 92.60, 92.04 degrees
Element x y z (fractional)
V (0.670, 0.506, 0.945)
V (0.918, 0.496, 0.199)
V (0.168, 0.494, 0.449)
V (0.418, 0.494, 0.699)
P (0.333, 0.679, 0.849)
P (0.035, 0.781, 0.945)
P (0.671, 0.177, 0.148)
P (0.084, 0.679, 0.599)
P (0.787, 0.782, 0.695)
P (0.418, 0.175, 0.900)
P (0.469, 0.287, 0.554)
P (0.584, 0.682, 0.100)
P (0.962, 0.291, 0.053)
P (0.537, 0.781, 0.445)
P (0.834, 0.679, 0.349)
P (0.170, 0.176, 0.649)
P (0.919, 0.176, 0.399)
P (0.287, 0.782, 0.195)
P (0.218, 0.288, 0.304)
P (0.718, 0.286, 0.804)
O (0.739, 0.173, 0.350)
O (0.860, 0.679, 0.966)
O (0.658, 0.826, 0.514)
O (0.701, 0.348, 0.184)
O (0.009, 0.672, 0.403)
O (0.950, 0.348, 0.434)
O (0.760, 0.670, 0.154)
O (0.259, 0.672, 0.653)
O (0.074, 0.535, 0.545)
O (0.334, 0.337, 0.489)
O (0.084, 0.338, 0.239)
O (0.603, 0.687, 0.715)
O (0.200, 0.348, 0.684)
O (0.909, 0.826, 0.764)
O (0.240, 0.931, 0.148)
O (0.887, 0.200, 0.779)
O (0.649, 0.653, 0.398)
O (0.099, 0.150, 0.349)
O (0.638, 0.202, 0.529)
O (0.850, 0.150, 0.098)
O (0.760, 0.440, 0.852)
O (0.573, 0.848, 0.067)
O (0.685, 0.039, 0.204)
O (0.899, 0.652, 0.648)
O (0.152, 0.652, 0.898)
O (0.823, 0.535, 0.295)
O (0.583, 0.336, 0.739)
O (0.005, 0.441, 0.103)
O (0.937, 0.039, 0.455)
O (0.154, 0.822, 0.015)
O (0.349, 0.150, 0.599)
O (0.187, 0.039, 0.705)
O (0.322, 0.535, 0.794)
O (0.399, 0.649, 0.150)
O (0.142, 0.214, 0.031)
O (0.505, 0.440, 0.603)
O (0.426, 0.038, 0.956)
O (0.990, 0.932, 0.900)
O (0.407, 0.828, 0.264)
O (0.989, 0.173, 0.600)
O (0.489, 0.176, 0.099)
O (0.102, 0.690, 0.215)
O (0.599, 0.152, 0.850)
O (0.388, 0.202, 0.279)
O (0.828, 0.339, 0.989)
O (0.240, 0.175, 0.850)
O (0.485, 0.932, 0.401)
O (0.255, 0.439, 0.354)
O (0.353, 0.687, 0.465)
O (0.736, 0.932, 0.650)
O (0.325, 0.844, 0.813)
O (0.508, 0.663, 0.902)
O (0.451, 0.345, 0.938)
O (0.072, 0.844, 0.562)
O (0.821, 0.844, 0.312)
O (0.565, 0.537, 0.046)
Li (0.130, 0.863, 0.458)
Li (0.879, 0.863, 0.207)
Li (0.372, 0.358, 0.043)
Li (0.380, 0.863, 0.708)
Mn (0.821, 0.007, 0.554)
Mn (0.330, 0.993, 0.052)
Mn (0.570, 0.007, 0.304)
Mn (0.071, 0.007, 0.804)

Values from the calculation:
* raw total energy: -7.262 eV per atom
* energy above the most stable polymorph in this dataset: 0.004 eV/atom
* calculated formation energy: -2.59 eV per atom


3.
# Li3MnVP3O12

A relaxed structure of Li3MnVP3O12 (GGA+U, Materials Project).

Cell lengths 8.419, 8.834, 12.477 Å; angles 89.14, 88.12, 89.89 degrees
Element x y z (fractional)
O (0.250, 0.937, 0.515)
O (0.476, 0.104, 0.409)
O (0.383, 0.801, 0.312)
O (0.349, 0.676, 0.590)
O (0.077, 0.088, 0.835)
O (0.524, 0.106, 0.092)
O (0.252, 0.593, 0.995)
O (0.254, 0.599, 0.796)
O (0.745, 0.944, 0.980)
O (0.069, 0.907, 0.335)
O (0.653, 0.322, 0.407)
O (0.716, 0.906, 0.788)
O (0.743, 0.592, 0.515)
O (0.752, 0.062, 0.482)
O (0.875, 0.283, 0.812)
O (0.268, 0.901, 0.709)
O (0.384, 0.202, 0.818)
O (0.247, 0.403, 0.289)
O (0.985, 0.416, 0.395)
O (0.755, 0.597, 0.714)
O (0.579, 0.601, 0.338)
O (0.872, 0.706, 0.314)
O (0.139, 0.178, 0.406)
O (0.935, 0.086, 0.665)
O (0.257, 0.405, 0.488)
O (0.342, 0.321, 0.088)
O (0.465, 0.901, 0.911)
O (0.128, 0.291, 0.686)
O (0.620, 0.805, 0.185)
O (0.933, 0.908, 0.164)
O (0.617, 0.200, 0.684)
O (0.275, 0.099, 0.216)
O (0.641, 0.684, 0.914)
O (0.525, 0.895, 0.592)
O (0.423, 0.404, 0.664)
O (0.433, 0.596, 0.167)
O (0.856, 0.180, 0.088)
O (0.744, 0.410, 0.002)
O (0.245, 0.058, 0.024)
O (0.576, 0.405, 0.832)
O (0.730, 0.096, 0.288)
O (0.007, 0.418, 0.107)
O (0.986, 0.583, 0.894)
O (0.016, 0.582, 0.607)
O (0.862, 0.819, 0.596)
O (0.127, 0.702, 0.191)
O (0.738, 0.400, 0.202)
O (0.138, 0.821, 0.908)
Li (0.015, 0.892, 0.748)
Li (0.001, 0.000, 0.500)
Li (0.287, 0.192, 0.549)
Li (0.000, 0.103, 0.251)
Li (0.505, 0.508, 0.000)
Li (0.288, 0.813, 0.046)
Li (0.004, 0.998, 0.001)
Li (0.499, 0.502, 0.500)
Li (0.717, 0.190, 0.946)
Li (0.712, 0.804, 0.451)
Li (0.503, 0.398, 0.252)
Li (0.497, 0.607, 0.753)
P (0.002, 0.197, 0.749)
P (0.644, 0.857, 0.898)
P (0.839, 0.356, 0.102)
P (0.654, 0.147, 0.396)
P (0.346, 0.147, 0.104)
P (0.156, 0.355, 0.393)
P (0.155, 0.645, 0.896)
P (0.846, 0.643, 0.609)
P (0.347, 0.851, 0.603)
P (0.001, 0.797, 0.251)
P (0.501, 0.296, 0.750)
P (0.503, 0.706, 0.249)
Mn (0.789, 0.498, 0.855)
Mn (0.212, 0.497, 0.647)
Mn (0.789, 0.502, 0.353)
Mn (0.287, 0.007, 0.857)
V (0.716, 0.000, 0.141)
V (0.716, 0.002, 0.642)
V (0.214, 0.500, 0.144)
V (0.285, 0.996, 0.358)

Values from the calculation:
* raw total energy: -7.004 eV per atom
* energy above the most stable polymorph in this dataset: 0.050 eV/atom
* calculated formation energy: -2.60 eV per atom